1.
# LiBiO3

A relaxed LiBiO3 crystal (r2SCAN, the Materials Project).

Properties
* V: 11.84 Å³ per atom
* energy: -17.12 eV/atom
* E_form: -1.364 eV per atom

abc: 4.9469 8.8811 10.7767
angles: 90.00 90.00 90.00
Fractional coordinates of all 40 atoms:
Li (0.9996, 0.2126, 0.0967)
Li (0.9996, 0.2874, 0.5967)
Li (0.0004, 0.7126, 0.4033)
Li (0.0004, 0.7874, 0.9033)
Li (0.5004, 0.2126, 0.5967)
Li (0.5004, 0.2874, 0.0967)
Li (0.4996, 0.7126, 0.9033)
Li (0.4996, 0.7874, 0.4033)
Bi (0.0035, 0.0860, 0.3636)
Bi (0.0035, 0.4140, 0.8636)
Bi (0.4965, 0.0860, 0.8636)
Bi (0.4965, 0.4140, 0.3636)
Bi (0.5035, 0.5860, 0.6364)
Bi (0.5035, 0.9140, 0.1364)
Bi (0.9965, 0.5860, 0.1364)
Bi (0.9965, 0.9140, 0.6364)
O (0.1931, 0.0951, 0.5423)
O (0.1931, 0.4049, 0.0423)
O (0.2242, 0.5841, 0.3004)
O (0.2242, 0.9159, 0.8004)
O (0.2500, 0.2500, 0.2778)
O (0.2500, 0.2500, 0.7778)
O (0.2500, 0.7500, 0.0503)
O (0.2500, 0.7500, 0.5503)
O (0.2758, 0.5841, 0.8004)
O (0.2758, 0.9159, 0.3004)
O (0.3069, 0.0951, 0.0423)
O (0.3069, 0.4049, 0.5423)
O (0.6931, 0.5951, 0.4577)
O (0.6931, 0.9049, 0.9577)
O (0.7242, 0.0841, 0.6996)
O (0.7242, 0.4159, 0.1996)
O (0.7500, 0.2500, 0.4497)
O (0.7500, 0.2500, 0.9497)
O (0.7500, 0.7500, 0.2222)
O (0.7500, 0.7500, 0.7222)
O (0.7758, 0.0841, 0.1996)
O (0.7758, 0.4159, 0.6996)
O (0.8069, 0.5951, 0.9577)
O (0.8069, 0.9049, 0.4577)


2.
# AlCo

A relaxed AlCo crystal (r2SCAN, the Materials Project).

Properties
* V: 11.21 Å³ per atom
* energy: -10.54 eV/atom
* E_form: -0.556 eV per atom

abc: 2.8194 2.8194 2.8194
angles: 90.00 90.00 90.00
Fractional coordinates of all 2 atoms:
Al (0.0000, 0.0000, 0.0000)
Co (0.5000, 0.5000, 0.5000)


3.
# RuO2

A relaxed RuO2 crystal (r2SCAN, the Materials Project).

Properties
* V: 10.42 Å³ per atom
* energy: -13.66 eV/atom
* E_form: -1.202 eV per atom

abc: 4.4825 4.4825 3.1113
angles: 90.00 90.00 90.00
Fractional coordinates of all 6 atoms:
Ru (0.0000, 0.0000, 0.0000)
Ru (0.5000, 0.5000, 0.5000)
O (0.1946, 0.1946, 0.5000)
O (0.3054, 0.6946, 0.0000)
O (0.6946, 0.3054, 0.0000)
O (0.8054, 0.8054, 0.5000)


4.
# BaAl2Te4

A relaxed BaAl2Te4 crystal (r2SCAN, the Materials Project).

Properties
* V: 36.29 Å³ per atom
* energy: -21.29 eV/atom
* E_form: -1.057 eV per atom

abc: 8.6894 8.6894 6.7296
angles: 90.00 90.00 90.00
Fractional coordinates of all 14 atoms:
Ba (0.0000, 0.0000, 0.0000)
Ba (0.5000, 0.5000, 0.5000)
Al (0.0000, 0.5000, 0.0000)
Al (0.0000, 0.5000, 0.5000)
Al (0.5000, 0.0000, 0.0000)
Al (0.5000, 0.0000, 0.5000)
Te (0.1650, 0.3350, 0.7500)
Te (0.1650, 0.6650, 0.2500)
Te (0.3350, 0.1650, 0.2500)
Te (0.3350, 0.8350, 0.7500)
Te (0.6650, 0.1650, 0.7500)
Te (0.6650, 0.8350, 0.2500)
Te (0.8350, 0.3350, 0.2500)
Te (0.8350, 0.6650, 0.7500)


5.
# Li3Cu2O4

A relaxed Li3Cu2O4 crystal (r2SCAN, the Materials Project).

Properties
* V: 9.55 Å³ per atom
* energy: -7.33 eV/atom
* E_form: -1.467 eV per atom

abc: 5.1434 5.1434 7.1595
angles: 117.43 117.43 31.12
Fractional coordinates of all 9 atoms:
Li (0.0000, 0.0000, 0.0000)
Li (0.3596, 0.3596, 0.6289)
Li (0.6404, 0.6404, 0.3711)
Cu (0.1581, 0.1581, 0.7687)
Cu (0.8419, 0.8419, 0.2313)
O (0.2560, 0.2560, 0.3206)
O (0.4351, 0.4351, 0.1547)
O (0.5649, 0.5649, 0.8453)
O (0.7440, 0.7440, 0.6794)


6.
# HfCo

A relaxed HfCo crystal (r2SCAN, the Materials Project).

Properties
* V: 15.82 Å³ per atom
* energy: -29.63 eV/atom
* E_form: -0.434 eV per atom

abc: 3.1631 3.1631 3.1631
angles: 90.00 90.00 90.00
Fractional coordinates of all 2 atoms:
Hf (0.0000, 0.0000, 0.0000)
Co (0.5000, 0.5000, 0.5000)


7.
# NaCrSi2O6

A relaxed NaCrSi2O6 crystal (r2SCAN, the Materials Project).

Properties
* V: 10.49 Å³ per atom
* energy: -9.99 eV/atom
* E_form: -2.787 eV per atom

abc: 6.4744 6.4744 5.2823
angles: 103.10 103.10 84.49
Fractional coordinates of all 20 atoms:
Na (0.2021, 0.7979, 0.7500)
Na (0.7979, 0.2021, 0.2500)
Cr (0.4080, 0.5920, 0.2500)
Cr (0.5920, 0.4080, 0.7500)
Si (0.1151, 0.2983, 0.7633)
Si (0.2983, 0.1151, 0.2633)
Si (0.7017, 0.8849, 0.7367)
Si (0.8849, 0.7017, 0.2367)
O (0.1204, 0.6013, 0.3057)
O (0.1377, 0.1548, 0.9870)
O (0.1548, 0.1377, 0.4870)
O (0.3060, 0.4659, 0.8621)
O (0.3987, 0.8796, 0.1943)
O (0.4659, 0.3060, 0.3621)
O (0.5341, 0.6940, 0.6379)
O (0.6013, 0.1204, 0.8057)
O (0.6940, 0.5341, 0.1379)
O (0.8452, 0.8623, 0.5130)
O (0.8623, 0.8452, 0.0130)
O (0.8796, 0.3987, 0.6943)


8.
# Cs3HoO3

A relaxed Cs3HoO3 crystal (r2SCAN, the Materials Project).

Properties
* V: 26.61 Å³ per atom
* energy: -20.16 eV/atom
* E_form: -2.141 eV per atom

abc: 8.2116 7.5340 12.0943
angles: 90.00 95.20 90.00
Fractional coordinates of all 28 atoms:
Cs (0.0601, 0.1213, 0.1559)
Cs (0.0601, 0.3787, 0.6559)
Cs (0.3513, 0.1605, 0.9228)
Cs (0.3513, 0.3395, 0.4228)
Cs (0.3787, 0.6826, 0.8095)
Cs (0.3787, 0.8174, 0.3095)
Cs (0.6213, 0.1826, 0.6905)
Cs (0.6213, 0.3174, 0.1905)
Cs (0.6487, 0.6605, 0.5772)
Cs (0.6487, 0.8395, 0.0772)
Cs (0.9399, 0.6213, 0.3441)
Cs (0.9399, 0.8787, 0.8441)
Ho (0.1565, 0.5869, 0.0685)
Ho (0.1565, 0.9131, 0.5685)
Ho (0.8435, 0.0869, 0.4315)
Ho (0.8435, 0.4131, 0.9315)
O (0.1042, 0.0541, 0.4124)
O (0.1042, 0.4459, 0.9124)
O (0.2472, 0.6549, 0.5472)
O (0.2472, 0.8451, 0.0472)
O (0.2969, 0.0546, 0.6917)
O (0.2969, 0.4454, 0.1917)
O (0.7031, 0.5546, 0.8083)
O (0.7031, 0.9454, 0.3083)
O (0.7528, 0.1549, 0.9528)
O (0.7528, 0.3451, 0.4528)
O (0.8958, 0.5541, 0.0876)
O (0.8958, 0.9459, 0.5876)


9.
# GdSnAu

A relaxed GdSnAu crystal (r2SCAN, the Materials Project).

Properties
* V: 25.62 Å³ per atom
* energy: -40.49 eV/atom
* E_form: -0.915 eV per atom

abc: 6.7493 6.7493 6.7493
angles: 90.00 90.00 90.00
Fractional coordinates of all 12 atoms:
Gd (0.0000, 0.0000, 0.0000)
Gd (0.0000, 0.5000, 0.5000)
Gd (0.5000, 0.0000, 0.5000)
Gd (0.5000, 0.5000, 0.0000)
Sn (0.0000, 0.0000, 0.5000)
Sn (0.0000, 0.5000, 0.0000)
Sn (0.5000, 0.0000, 0.0000)
Sn (0.5000, 0.5000, 0.5000)
Au (0.2500, 0.2500, 0.2500)
Au (0.2500, 0.7500, 0.7500)
Au (0.7500, 0.2500, 0.7500)
Au (0.7500, 0.7500, 0.2500)


10.
# DyNiC2

A relaxed DyNiC2 crystal (r2SCAN, the Materials Project).

Properties
* V: 12.02 Å³ per atom
* energy: -16.42 eV/atom
* E_form: -0.451 eV per atom

abc: 3.5900 4.4805 5.9769
angles: 90.00 90.00 90.00
Fractional coordinates of all 8 atoms:
Dy (0.0000, 0.0000, 0.0000)
Dy (0.0000, 0.5000, 0.5000)
Ni (0.5000, 0.0000, 0.3898)
Ni (0.5000, 0.5000, 0.8898)
C (0.5000, 0.1528, 0.6998)
C (0.5000, 0.3472, 0.1998)
C (0.5000, 0.6528, 0.1998)
C (0.5000, 0.8472, 0.6998)


11.
# MoP3O9

A relaxed MoP3O9 crystal (r2SCAN, the Materials Project).

Properties
* V: 12.96 Å³ per atom
* energy: -10.46 eV/atom
* E_form: -2.242 eV per atom

abc: 11.8872 11.8872 9.6150
angles: 110.05 110.05 110.90
Fractional coordinates of all 78 atoms:
Mo (0.0787, 0.9213, 0.5000)
Mo (0.2253, 0.7379, 0.9665)
Mo (0.4136, 0.5917, 0.5022)
Mo (0.5917, 0.4136, 0.0022)
Mo (0.7379, 0.2253, 0.4665)
Mo (0.9213, 0.0787, 0.0000)
P (0.1510, 0.5472, 0.1518)
P (0.2079, 0.4826, 0.6534)
P (0.2422, 0.2892, 0.7759)
P (0.2716, 0.9994, 0.3152)
P (0.2892, 0.2422, 0.2759)
P (0.3291, 0.9385, 0.8067)
P (0.4826, 0.2079, 0.1534)
P (0.5472, 0.1510, 0.6518)
P (0.5630, 0.9427, 0.7571)
P (0.5826, 0.8663, 0.2072)
P (0.6199, 0.6737, 0.3359)
P (0.6737, 0.6199, 0.8359)
P (0.8265, 0.8893, 0.1739)
P (0.8663, 0.5826, 0.7072)
P (0.8893, 0.8265, 0.6739)
P (0.9385, 0.3291, 0.3067)
P (0.9427, 0.5630, 0.2571)
P (0.9994, 0.2716, 0.8152)
O (0.0098, 0.6674, 0.8670)
O (0.0189, 0.9106, 0.6779)
O (0.0282, 0.4075, 0.9674)
O (0.0625, 0.5982, 0.2142)
O (0.0737, 0.3631, 0.4642)
O (0.1416, 0.1621, 0.1266)
O (0.1453, 0.9294, 0.3247)
O (0.1564, 0.3141, 0.8655)
O (0.1621, 0.1416, 0.6266)
O (0.1632, 0.5405, 0.7726)
O (0.2268, 0.5116, 0.2711)
O (0.2373, 0.8108, 0.7997)
O (0.2383, 0.6586, 0.1314)
O (0.2626, 0.3910, 0.7029)
O (0.2625, 0.9272, 0.1482)
O (0.2703, 0.9424, 0.6458)
O (0.3141, 0.1564, 0.3655)
O (0.3154, 0.5877, 0.6450)
O (0.3468, 0.3830, 0.4257)
O (0.3631, 0.0737, 0.9642)
O (0.3830, 0.3468, 0.9257)
O (0.3910, 0.2626, 0.2029)
O (0.4075, 0.0282, 0.4674)
O (0.4416, 0.8174, 0.0667)
O (0.4676, 0.8028, 0.5892)
O (0.4827, 0.9654, 0.8576)
O (0.5116, 0.2268, 0.7711)
O (0.5131, 0.5840, 0.3597)
O (0.5405, 0.1632, 0.2726)
O (0.5615, 0.7548, 0.2648)
O (0.5840, 0.5131, 0.8597)
O (0.5877, 0.3154, 0.1450)
O (0.5982, 0.0625, 0.7142)
O (0.6019, 0.6627, 0.7239)
O (0.6586, 0.2383, 0.6314)
O (0.6627, 0.6019, 0.2239)
O (0.6674, 0.0098, 0.3670)
O (0.6683, 0.8495, 0.1134)
O (0.7009, 0.9759, 0.8857)
O (0.7548, 0.5615, 0.7648)
O (0.7564, 0.8017, 0.5216)
O (0.8017, 0.7564, 0.0216)
O (0.8028, 0.4676, 0.0892)
O (0.8108, 0.2373, 0.2997)
O (0.8174, 0.4416, 0.5667)
O (0.8495, 0.6683, 0.6134)
O (0.8870, 0.8931, 0.3400)
O (0.8931, 0.8870, 0.8400)
O (0.9106, 0.0189, 0.1779)
O (0.9272, 0.2625, 0.6482)
O (0.9294, 0.1453, 0.8247)
O (0.9424, 0.2703, 0.1458)
O (0.9654, 0.4827, 0.3576)
O (0.9759, 0.7009, 0.3857)


12.
# Sc2CdSe4

A relaxed Sc2CdSe4 crystal (r2SCAN, the Materials Project).

Properties
* V: 25.70 Å³ per atom
* energy: -15.93 eV/atom
* E_form: -1.621 eV per atom

abc: 7.9838 7.9838 7.9838
angles: 60.00 60.00 60.00
Fractional coordinates of all 14 atoms:
Sc (0.0000, 0.0000, 0.0000)
Sc (0.0000, 0.0000, 0.5000)
Sc (0.0000, 0.5000, 0.0000)
Sc (0.5000, 0.0000, 0.0000)
Cd (0.3750, 0.3750, 0.3750)
Cd (0.6250, 0.6250, 0.6250)
Se (0.2206, 0.7598, 0.7598)
Se (0.2402, 0.2402, 0.2402)
Se (0.2402, 0.2402, 0.7794)
Se (0.2402, 0.7794, 0.2402)
Se (0.7598, 0.2206, 0.7598)
Se (0.7598, 0.7598, 0.2206)
Se (0.7598, 0.7598, 0.7598)
Se (0.7794, 0.2402, 0.2402)


13.
# EuMgH4

A relaxed EuMgH4 crystal (r2SCAN, the Materials Project).

Properties
* V: 11.76 Å³ per atom
* energy: -9.91 eV/atom
* E_form: -0.489 eV per atom

abc: 6.8451 6.8451 5.5659
angles: 90.00 90.00 147.25
Fractional coordinates of all 12 atoms:
Eu (0.1516, 0.8484, 0.5000)
Eu (0.8484, 0.1516, 0.0000)
Mg (0.4170, 0.5830, 0.5514)
Mg (0.5830, 0.4170, 0.0514)
H (0.0669, 0.9331, 0.0992)
H (0.2974, 0.7026, 0.7511)
H (0.3336, 0.6664, 0.2732)
H (0.4552, 0.5448, 0.9039)
H (0.5448, 0.4552, 0.4039)
H (0.6664, 0.3336, 0.7732)
H (0.7026, 0.2974, 0.2511)
H (0.9331, 0.0669, 0.5992)


14.
# U3Te4

A relaxed U3Te4 crystal (r2SCAN, the Materials Project).

Properties
* V: 30.48 Å³ per atom
* energy: -49.86 eV/atom
* E_form: -1.071 eV per atom

abc: 8.2164 8.2164 8.2164
angles: 109.49 109.49 109.49
Fractional coordinates of all 14 atoms:
U (0.0416, 0.1674, 0.7910)
U (0.1674, 0.7910, 0.0416)
U (0.2910, 0.6674, 0.5416)
U (0.5416, 0.2910, 0.6674)
U (0.6674, 0.5416, 0.2910)
U (0.7910, 0.0416, 0.1674)
Te (0.0684, 0.9169, 0.4167)
Te (0.2661, 0.2661, 0.2661)
Te (0.4167, 0.0684, 0.9169)
Te (0.4169, 0.5684, 0.9167)
Te (0.5684, 0.9167, 0.4169)
Te (0.7661, 0.7661, 0.7661)
Te (0.9169, 0.4167, 0.0684)
Te (0.9167, 0.4169, 0.5684)


15.
# Pr3Ni4Ge4

A relaxed Pr3Ni4Ge4 crystal (r2SCAN, the Materials Project).

Properties
* V: 18.78 Å³ per atom
* energy: -18.15 eV/atom
* E_form: -0.728 eV per atom

abc: 12.2614 12.2614 12.2614
angles: 160.49 160.39 27.81
Fractional coordinates of all 11 atoms:
Pr (0.0000, 0.0000, 0.0000)
Pr (0.1505, 0.6505, 0.5000)
Pr (0.8495, 0.3495, 0.5000)
Ni (0.2485, 0.2485, 0.0000)
Ni (0.4009, 0.9009, 0.5000)
Ni (0.5991, 0.0991, 0.5000)
Ni (0.7515, 0.7515, 0.0000)
Ge (0.3007, 0.8007, 0.5000)
Ge (0.4462, 0.4462, 0.0000)
Ge (0.5538, 0.5538, 0.0000)
Ge (0.6993, 0.1993, 0.5000)


16.
# K2Ni3S4

A relaxed K2Ni3S4 crystal (r2SCAN, the Materials Project).

Properties
* V: 20.70 Å³ per atom
* energy: -9.76 eV/atom
* E_form: -0.855 eV per atom

abc: 13.9123 13.2889 5.7750
angles: 83.87 71.76 24.38
Fractional coordinates of all 18 atoms:
K (0.0464, 0.0464, 0.2036)
K (0.2036, 0.2036, 0.0464)
K (0.7964, 0.7964, 0.9536)
K (0.9536, 0.9536, 0.7964)
Ni (0.1256, 0.1256, 0.6244)
Ni (0.3750, 0.3750, 0.3750)
Ni (0.3756, 0.3756, 0.8744)
Ni (0.6244, 0.6244, 0.1256)
Ni (0.6250, 0.6250, 0.6250)
Ni (0.8744, 0.8744, 0.3756)
S (0.1571, 0.4817, 0.2604)
S (0.2604, 0.6007, 0.1571)
S (0.3993, 0.7396, 0.5183)
S (0.4817, 0.1571, 0.6007)
S (0.5183, 0.8429, 0.3993)
S (0.6007, 0.2604, 0.4817)
S (0.7396, 0.3993, 0.8429)
S (0.8429, 0.5183, 0.7396)


17.
# Ba3AlSb3

A relaxed Ba3AlSb3 crystal (r2SCAN, the Materials Project).

Properties
* V: 39.54 Å³ per atom
* energy: -24.42 eV/atom
* E_form: -1.083 eV per atom

abc: 11.2899 11.2899 14.2457
angles: 90.00 90.00 37.57
Fractional coordinates of all 28 atoms:
Ba (0.0202, 0.6306, 0.1292)
Ba (0.1306, 0.5202, 0.6292)
Ba (0.1843, 0.8157, 0.8523)
Ba (0.3157, 0.6843, 0.3523)
Ba (0.3694, 0.9798, 0.1292)
Ba (0.4798, 0.8694, 0.6292)
Ba (0.5202, 0.1306, 0.3708)
Ba (0.6306, 0.0202, 0.8708)
Ba (0.6843, 0.3157, 0.6477)
Ba (0.8157, 0.1843, 0.1477)
Ba (0.8694, 0.4798, 0.3708)
Ba (0.9798, 0.3694, 0.8708)
Al (0.0851, 0.0851, 0.5000)
Al (0.4149, 0.4149, 0.0000)
Al (0.5851, 0.5851, 0.0000)
Al (0.9149, 0.9149, 0.5000)
Sb (0.0409, 0.6417, 0.3807)
Sb (0.1417, 0.5409, 0.8807)
Sb (0.2021, 0.7979, 0.6011)
Sb (0.2979, 0.7021, 0.1011)
Sb (0.3583, 0.9591, 0.3807)
Sb (0.4591, 0.8583, 0.8807)
Sb (0.5409, 0.1417, 0.1193)
Sb (0.6417, 0.0409, 0.6193)
Sb (0.7021, 0.2979, 0.8989)
Sb (0.7979, 0.2021, 0.3989)
Sb (0.8583, 0.4591, 0.1193)
Sb (0.9591, 0.3583, 0.6193)